[1]
This record from the Materials Project database describes a relaxed Sn2H21C6ClO2 crystal. The functional is PBE.

Calculated values
total DFT energy (no corrections)	-603.59	eV for the cell shown
ΔH_f (0 K)	-170	meV/atom
corrected total energy (MP2020 scheme)	-151.83	eV per formula unit
volume	12.89	Å³/atom

Structure (CIF):
```
data_Sn2H21C6ClO2
_chemical_formula_sum 'Sn8 H84 C24 Cl4 O8'
_cell_length_a 10.8372
_cell_length_b 13.0614
_cell_length_c 15.4488
_cell_angle_alpha 90.00
_cell_angle_beta 131.01
_cell_angle_gamma 90.00
_symmetry_space_group_name_H-M 'P 1 21/c 1'
_symmetry_Int_Tables_number 14
_symmetry_space_group_name_Hall '-P 2ybc'
loop_
_atom_site_label
_atom_site_type_symbol
_atom_site_fract_x
_atom_site_fract_y
_atom_site_fract_z
Sn1 Sn 0.0564 0.1230 0.2476
Sn2 Sn 0.4441 0.1364 0.2208
H1 H 0.0127 0.1183 0.5030
H2 H 0.0200 0.2179 0.8455
H3 H 0.0604 0.1712 0.7574
H4 H 0.0689 0.1559 0.5513
H5 H 0.0865 0.0296 0.9117
H6 H 0.1286 0.0332 0.6272
H7 H 0.1422 0.7125 0.8077
H8 H 0.1648 0.5919 0.4810
H9 H 0.1975 0.0402 0.4618
H10 H 0.2389 0.5380 0.8877
H11 H 0.2402 0.5334 0.4186
H12 H 0.2991 0.7471 0.5984
H13 H 0.3120 0.5529 0.6858
H14 H 0.3390 0.2361 0.0292
H15 H 0.3407 0.6466 0.0474
H16 H 0.3452 0.0800 0.4504
H17 H 0.4419 0.7455 0.3677
H18 H 0.4621 0.1306 0.0510
H19 H 0.4704 0.7439 0.6037
H20 H 0.4847 0.0495 0.6775
H21 H 0.4861 0.5654 0.6951
C1 C 0.0115 0.7262 0.7380
C2 C 0.1321 0.5444 0.4101
C3 C 0.2281 0.0406 0.4067
C4 C 0.3957 0.7077 0.1116
C5 C 0.4384 0.5284 0.7317
C6 C 0.4536 0.1942 0.0934
Cl1 Cl 0.2024 0.5336 0.2097
O1 O 0.2128 0.1868 0.1468
O2 O 0.2469 0.1463 0.2522
```

[2]
This record from the Materials Project database describes a relaxed Sn2H12C4Cl2O crystal. The functional is PBE.

Calculated values
total DFT energy (no corrections)	-406.88	eV for the cell shown
ΔH_f (0 K)	-387	meV/atom
corrected total energy (MP2020 scheme)	-102.41	eV per formula unit
volume	15.17	Å³/atom

Structure (CIF):
```
data_Sn2H12C4Cl2O
_chemical_formula_sum 'Sn8 H48 C16 Cl8 O4'
_cell_length_a 7.4853
_cell_length_b 19.4880
_cell_length_c 9.2997
_cell_angle_alpha 90.00
_cell_angle_beta 110.09
_cell_angle_gamma 90.00
_symmetry_space_group_name_H-M 'P 1 21/c 1'
_symmetry_Int_Tables_number 14
_symmetry_space_group_name_Hall '-P 2ybc'
loop_
_atom_site_label
_atom_site_type_symbol
_atom_site_fract_x
_atom_site_fract_y
_atom_site_fract_z
Sn1 Sn 0.0212 0.0373 0.3413
Sn2 Sn 0.0840 0.1583 0.6552
H1 H 0.1516 0.7360 0.4716
H2 H 0.2323 0.5849 0.4222
H3 H 0.2417 0.7182 0.8425
H4 H 0.2726 0.6837 0.0293
H5 H 0.2890 0.0391 0.2083
H6 H 0.2918 0.5432 0.7955
H7 H 0.3258 0.5958 0.2698
H8 H 0.3348 0.5129 0.3575
H9 H 0.4003 0.0302 0.4118
H10 H 0.4031 0.2347 0.7096
H11 H 0.4233 0.1837 0.8759
H12 H 0.4587 0.1452 0.7113
C1 C 0.1794 0.7135 0.9329
C2 C 0.2532 0.5603 0.3232
C3 C 0.2848 0.0122 0.3107
C4 C 0.3805 0.1840 0.7507
Cl1 Cl 0.0546 0.1140 0.8956
Cl2 Cl 0.1196 0.1699 0.3672
O1 O 0.0404 0.0591 0.5664
```